Entry 1:
Here is an optimized crystal structure of Nb2GeC from Materials Project. Energies are from r²SCAN.

Values from the calculation:
* VASP energy: -18.87 eV per atom
* theoretical density: 7742 kg/m3

Lattice parameters (Å, degrees): 3.279 3.279 12.463 90.00 90.00 120.00
Sites, in units of the cell vectors:
Nb  0.333  0.667  0.094
Nb  0.333  0.667  0.406
Nb  0.667  0.333  0.594
Nb  0.667  0.333  0.906
Ge  0.333  0.667  0.750
Ge  0.667  0.333  0.250
C  0.000  0.000  0.000
C  0.000  0.000  0.500


Entry 2:
Here is an optimized crystal structure of V3GeC from Materials Project. Energies are from r²SCAN.

Values from the calculation:
* VASP energy: -13.74 eV per atom
* theoretical density: 6611 kg/m3

Lattice parameters (Å, degrees): 5.200 5.200 7.832 90.00 90.00 145.72
Sites, in units of the cell vectors:
V  0.042  0.958  0.750
V  0.370  0.630  0.548
V  0.370  0.630  0.952
V  0.630  0.370  0.048
V  0.630  0.370  0.452
V  0.958  0.042  0.250
Ge  0.256  0.744  0.250
Ge  0.744  0.256  0.750
C  0.000  0.000  0.000
C  0.000  0.000  0.500


Entry 3:
Here is an optimized crystal structure of Y5Ge3C from Materials Project. Energies are from r²SCAN.

Values from the calculation:
* VASP energy: -17.88 eV per atom
* theoretical density: 5516 kg/m3

Lattice parameters (Å, degrees): 8.488 8.488 6.505 90.00 90.00 120.00
Sites, in units of the cell vectors:
Y  0.000  0.221  0.250
Y  0.000  0.779  0.750
Y  0.221  0.000  0.250
Y  0.221  0.221  0.750
Y  0.333  0.667  0.000
Y  0.333  0.667  0.500
Y  0.667  0.333  0.000
Y  0.667  0.333  0.500
Y  0.779  0.000  0.750
Y  0.779  0.779  0.250
Ge  0.000  0.409  0.750
Ge  0.000  0.591  0.250
Ge  0.409  0.000  0.750
Ge  0.409  0.409  0.250
Ge  0.591  0.000  0.250
Ge  0.591  0.591  0.750
C  0.000  0.000  0.000
C  0.000  0.000  0.500


Entry 4:
Here is an optimized crystal structure of K2MgH8C2O10 from Materials Project. Energies are from r²SCAN.

Values from the calculation:
* VASP energy: -6.91 eV per atom
* theoretical density: 2098 kg/m3

Lattice parameters (Å, degrees): 6.809 6.208 12.068 90.00 113.93 90.00
Sites, in units of the cell vectors:
K  0.229  0.142  0.319
K  0.229  0.358  0.819
K  0.771  0.642  0.181
K  0.771  0.858  0.681
Mg  0.000  0.000  0.000
Mg  0.000  0.500  0.500
H  0.197  0.656  0.363
H  0.197  0.844  0.863
H  0.212  0.701  0.980
H  0.212  0.799  0.480
H  0.307  0.179  0.579
H  0.307  0.321  0.079
H  0.429  0.101  0.113
H  0.429  0.399  0.613
H  0.571  0.601  0.387
H  0.571  0.899  0.887
H  0.693  0.679  0.921
H  0.693  0.821  0.421
H  0.788  0.201  0.520
H  0.788  0.299  0.020
H  0.803  0.156  0.137
H  0.803  0.344  0.637
C  0.259  0.647  0.178
C  0.259  0.853  0.678
C  0.741  0.147  0.322
C  0.741  0.353  0.822
O  0.112  0.717  0.406
O  0.112  0.783  0.906
O  0.124  0.696  0.649
O  0.124  0.804  0.149
O  0.292  0.166  0.057
O  0.292  0.334  0.557
O  0.315  0.554  0.282
O  0.315  0.946  0.782
O  0.338  0.580  0.103
O  0.338  0.920  0.603
O  0.662  0.080  0.397
O  0.662  0.420  0.897
O  0.685  0.054  0.218
O  0.685  0.446  0.718
O  0.708  0.666  0.443
O  0.708  0.834  0.943
O  0.876  0.196  0.851
O  0.876  0.304  0.351
O  0.888  0.217  0.094
O  0.888  0.283  0.594